The following is a DFT calculation (PBE) of an optimized crystal structure of Al2TcPd.

Summary:
For the formation energy from the elements, the calculation gives -0.644 eV/atom. The calculation puts the total energy at -25.61 eV per formula unit.

a = 4.307 Å, b = 4.307 Å, c = 4.307 Å
α = 60.00°, β = 60.00°, γ = 60.00°
Element x y z (fractional)
Al 0.750 0.750 0.750
Al 0.250 0.250 0.250
Tc 0.000 0.000 0.000
Pd 0.500 0.500 0.500

---

The following is a DFT calculation (PBE) of an optimized crystal structure of NdCl2.

Summary:
For the formation energy from the elements, the calculation gives -2.315 eV/atom. The value obtained for the total magnetization is 0.234 μB/f.u. The calculation puts the total energy at -14.18 eV per formula unit.

a = 3.602 Å, b = 8.762 Å, c = 10.089 Å
α = 90.00°, β = 90.00°, γ = 90.00°
Element x y z (fractional)
Nd 0.250 0.128 0.179
Nd 0.750 0.872 0.821
Nd 0.250 0.372 0.679
Nd 0.750 0.628 0.321
Cl 0.250 0.450 0.162
Cl 0.750 0.550 0.838
Cl 0.250 0.050 0.662
Cl 0.750 0.950 0.338
Cl 0.250 0.833 0.047
Cl 0.750 0.167 0.953
Cl 0.250 0.667 0.547
Cl 0.750 0.333 0.453

---

The following is a DFT calculation (PBE) of an optimized crystal structure of Nd4InSbS9.

Summary:
For the formation energy from the elements, the calculation gives -1.816 eV/atom. The value obtained for the total magnetization is 0.008 μB/f.u. The calculation puts the total energy at -85.90 eV per formula unit.

a = 10.210 Å, b = 10.210 Å, c = 28.112 Å
α = 90.00°, β = 90.00°, γ = 90.00°
Element x y z (fractional)
Nd 0.059 0.724 0.162
Nd 0.941 0.276 0.662
Nd 0.224 0.441 0.412
Nd 0.776 0.559 0.912
Nd 0.276 0.941 0.338
Nd 0.724 0.059 0.838
Nd 0.441 0.224 0.588
Nd 0.559 0.776 0.088
Nd 0.011 0.650 0.303
Nd 0.989 0.350 0.803
Nd 0.150 0.489 0.553
Nd 0.850 0.511 0.053
Nd 0.350 0.989 0.197
Nd 0.650 0.011 0.697
Nd 0.489 0.150 0.447
Nd 0.511 0.850 0.947
Nd 0.733 0.502 0.199
Nd 0.267 0.498 0.699
Nd 0.002 0.767 0.449
Nd 0.998 0.233 0.949
Nd 0.498 0.267 0.301
Nd 0.502 0.733 0.801
Nd 0.767 0.002 0.551
Nd 0.233 0.998 0.051
Nd 0.056 0.273 0.158
Nd 0.944 0.727 0.658
Nd 0.773 0.444 0.408
Nd 0.227 0.556 0.908
Nd 0.727 0.944 0.342
Nd 0.273 0.056 0.842
Nd 0.444 0.773 0.592
Nd 0.556 0.227 0.092
In 0.296 0.513 0.047
In 0.704 0.487 0.547
In 0.013 0.204 0.297
In 0.987 0.796 0.797
In 0.487 0.704 0.453
In 0.513 0.296 0.953
In 0.204 0.013 0.703
In 0.796 0.987 0.203
Sb 0.358 0.491 0.194
Sb 0.642 0.509 0.694
Sb 0.991 0.142 0.444
Sb 0.009 0.858 0.944
Sb 0.509 0.642 0.306
Sb 0.491 0.358 0.806
Sb 0.142 0.991 0.556
Sb 0.858 0.009 0.056
S 0.511 0.677 0.212
S 0.489 0.323 0.712
S 0.177 0.989 0.462
S 0.823 0.011 0.962
S 0.323 0.489 0.288
S 0.677 0.511 0.788
S 0.989 0.177 0.538
S 0.011 0.823 0.038
S 0.020 0.188 0.050
S 0.980 0.812 0.550
S 0.688 0.480 0.300
S 0.312 0.520 0.800
S 0.812 0.980 0.450
S 0.188 0.020 0.950
S 0.480 0.688 0.700
S 0.520 0.312 0.200
S 0.990 0.995 0.149
S 0.010 0.005 0.649
S 0.495 0.510 0.399
S 0.505 0.490 0.899
S 0.005 0.010 0.351
S 0.995 0.990 0.851
S 0.510 0.495 0.601
S 0.490 0.505 0.101
S 0.101 0.504 0.099
S 0.899 0.496 0.599
S 0.004 0.399 0.349
S 0.996 0.601 0.849
S 0.496 0.899 0.401
S 0.504 0.101 0.901
S 0.399 0.004 0.651
S 0.601 0.996 0.151
S 0.306 0.306 0.000
S 0.694 0.694 0.500
S 0.806 0.194 0.250
S 0.194 0.806 0.750
S 0.207 0.198 0.244
S 0.793 0.802 0.744
S 0.698 0.293 0.494
S 0.302 0.707 0.994
S 0.802 0.793 0.256
S 0.198 0.207 0.756
S 0.293 0.698 0.506
S 0.707 0.302 0.006
S 0.003 0.499 0.218
S 0.997 0.501 0.718
S 0.999 0.497 0.468
S 0.001 0.503 0.968
S 0.501 0.997 0.282
S 0.499 0.003 0.782
S 0.497 0.999 0.532
S 0.503 0.001 0.032
S 0.298 0.177 0.124
S 0.702 0.823 0.624
S 0.677 0.202 0.374
S 0.323 0.798 0.874
S 0.823 0.702 0.376
S 0.177 0.298 0.876
S 0.202 0.677 0.626
S 0.798 0.323 0.126
S 0.298 0.811 0.122
S 0.702 0.189 0.622
S 0.311 0.202 0.372
S 0.689 0.798 0.872
S 0.189 0.702 0.378
S 0.811 0.298 0.878
S 0.202 0.311 0.628
S 0.798 0.689 0.128
S 0.183 0.817 0.250
S 0.817 0.183 0.750
S 0.317 0.317 0.500
S 0.683 0.683 0.000

---

Repeat the second record exactly.
The following is a DFT calculation (PBE) of an optimized crystal structure of NdCl2.

Summary:
For the formation energy from the elements, the calculation gives -2.315 eV/atom. The value obtained for the total magnetization is 0.234 μB/f.u. The calculation puts the total energy at -14.18 eV per formula unit.

a = 3.602 Å, b = 8.762 Å, c = 10.089 Å
α = 90.00°, β = 90.00°, γ = 90.00°
Element x y z (fractional)
Nd 0.250 0.128 0.179
Nd 0.750 0.872 0.821
Nd 0.250 0.372 0.679
Nd 0.750 0.628 0.321
Cl 0.250 0.450 0.162
Cl 0.750 0.550 0.838
Cl 0.250 0.050 0.662
Cl 0.750 0.950 0.338
Cl 0.250 0.833 0.047
Cl 0.750 0.167 0.953
Cl 0.250 0.667 0.547
Cl 0.750 0.333 0.453

---

Which value of total energy does entry 3 give? -85.90 eV per formula unit